1.
The following is a PBE calculation of a relaxed structure of Na2Ti4Si5Ge4S7O48, from the Materials Project.

Calculated values
volume = 2823.4 Å³/cell
formation enthalpy at 0 K = -2.41 eV/atom
space-group type = P1 (1)
total magnetic moment = 0.00 μB per formula unit

```
Na2Ti4Si5Ge4S7O48
1.0
8.555 0.000 0.000
-0.029 14.841 0.000
-0.010 -0.267 22.238
Na Ti Si Ge S O
6 12 15 12 21 144
direct
0.000 0.000 0.000 Na
0.000 0.340 0.333 Na
0.006 0.003 0.501 Na
0.498 0.504 0.002 Na
0.503 0.840 0.837 Na
0.504 0.503 0.498 Na
0.007 0.336 0.186 Ti
0.012 0.995 0.643 Ti
0.015 0.335 0.475 Ti
0.015 0.683 0.028 Ti
0.486 0.177 0.524 Ti
0.494 0.497 0.142 Ti
0.497 0.837 0.688 Ti
0.503 0.838 0.980 Ti
0.521 0.495 0.856 Ti
0.522 0.497 0.357 Ti
0.985 0.993 0.353 Ti
0.985 0.995 0.859 Ti
0.136 0.195 0.586 Si
0.149 0.810 0.915 Si
0.217 0.830 0.580 Si
0.289 0.330 0.080 Si
0.365 0.311 0.413 Si
0.368 0.696 0.087 Si
0.638 0.029 0.919 Si
0.649 0.357 0.248 Si
0.656 0.311 0.919 Si
0.701 0.002 0.248 Si
0.789 0.840 0.085 Si
0.803 0.503 0.749 Si
0.850 0.812 0.418 Si
0.858 0.856 0.749 Si
0.867 0.531 0.419 Si
0.003 0.334 0.690 Ge
0.006 0.341 0.978 Ge
0.498 0.839 0.477 Ge
0.504 0.175 0.306 Ge
0.507 0.177 0.019 Ge
0.510 0.505 0.653 Ge
0.516 0.834 0.186 Ge
0.519 0.168 0.819 Ge
0.985 0.669 0.316 Ge
0.988 0.999 0.149 Ge
0.997 0.675 0.810 Ge
0.999 0.679 0.517 Ge
0.145 0.526 0.916 S
0.147 0.145 0.250 S
0.149 0.483 0.585 S
0.149 0.856 0.250 S
0.212 0.508 0.252 S
0.216 0.172 0.917 S
0.289 0.672 0.417 S
0.293 0.009 0.752 S
0.357 0.646 0.751 S
0.357 0.984 0.085 S
0.358 0.356 0.750 S
0.360 0.026 0.416 S
0.645 0.981 0.583 S
0.647 0.691 0.583 S
0.648 0.649 0.250 S
0.714 0.338 0.585 S
0.717 0.670 0.917 S
0.788 0.169 0.417 S
0.856 0.149 0.750 S
0.859 0.192 0.083 S
0.861 0.481 0.083 S
0.064 0.242 0.526 O
0.064 0.769 0.974 O
0.065 0.096 0.594 O
0.072 0.896 0.196 O
0.073 0.563 0.861 O
0.074 0.434 0.923 O
0.074 0.912 0.908 O
0.075 0.106 0.304 O
0.075 0.236 0.244 O
0.075 0.766 0.259 O
0.077 0.444 0.640 O
0.080 0.572 0.577 O
0.108 0.741 0.572 O
0.110 0.426 0.244 O
0.110 0.921 0.589 O
0.112 0.591 0.258 O
0.116 0.261 0.645 O
0.117 0.092 0.908 O
0.117 0.253 0.924 O
0.119 0.745 0.855 O
0.120 0.580 0.971 O
0.122 0.915 0.304 O
0.124 0.090 0.194 O
0.130 0.426 0.531 O
0.176 0.322 0.423 O
0.176 0.354 0.022 O
0.179 0.320 0.140 O
0.180 0.994 0.093 O
0.182 0.680 0.076 O
0.186 0.351 0.743 O
0.187 0.654 0.756 O
0.188 0.017 0.410 O
0.194 0.690 0.362 O
0.195 0.653 0.472 O
0.198 0.991 0.805 O
0.201 0.022 0.696 O
0.304 0.522 0.197 O
0.308 0.491 0.305 O
0.310 0.153 0.971 O
0.312 0.190 0.861 O
0.318 0.154 0.256 O
0.318 0.516 0.908 O
0.318 0.850 0.244 O
0.326 0.184 0.575 O
0.326 0.820 0.640 O
0.329 0.491 0.593 O
0.330 0.854 0.522 O
0.335 0.823 0.922 O
0.372 0.927 0.031 O
0.379 0.590 0.693 O
0.382 0.416 0.803 O
0.385 0.760 0.147 O
0.387 0.081 0.472 O
0.388 0.244 0.356 O
0.389 0.592 0.409 O
0.389 0.754 0.424 O
0.394 0.091 0.758 O
0.395 0.421 0.089 O
0.395 0.926 0.744 O
0.397 0.241 0.072 O
0.428 0.074 0.076 O
0.428 0.945 0.140 O
0.429 0.267 0.757 O
0.431 0.606 0.803 O
0.431 0.736 0.743 O
0.432 0.397 0.694 O
0.432 0.413 0.409 O
0.432 0.935 0.424 O
0.433 0.064 0.362 O
0.441 0.268 0.474 O
0.441 0.740 0.026 O
0.443 0.596 0.095 O
0.561 0.068 0.857 O
0.565 0.273 0.977 O
0.569 0.261 0.259 O
0.569 0.408 0.192 O
0.569 0.599 0.590 O
0.569 0.929 0.924 O
0.573 0.411 0.910 O
0.573 0.729 0.529 O
0.575 0.070 0.575 O
0.575 0.940 0.637 O
0.577 0.739 0.245 O
0.578 0.609 0.305 O
0.594 0.913 0.239 O
0.599 0.090 0.264 O
0.607 0.421 0.591 O
0.610 0.589 0.909 O
0.613 0.093 0.979 O
0.617 0.257 0.578 O
0.617 0.750 0.921 O
0.621 0.747 0.638 O
0.623 0.422 0.308 O
0.624 0.255 0.856 O
0.625 0.593 0.197 O
0.626 0.923 0.528 O
0.663 0.825 0.430 O
0.668 0.848 0.739 O
0.676 0.523 0.412 O
0.680 0.159 0.756 O
0.684 0.485 0.806 O
0.685 0.859 0.025 O
0.687 0.182 0.078 O
0.688 0.523 0.691 O
0.689 0.489 0.089 O
0.689 0.820 0.144 O
0.695 0.185 0.362 O
0.696 0.153 0.472 O
0.806 0.357 0.530 O
0.808 0.323 0.639 O
0.809 0.651 0.970 O
0.809 0.684 0.861 O
0.816 0.991 0.589 O
0.818 0.681 0.578 O
0.819 0.985 0.306 O
0.821 0.025 0.193 O
0.825 0.657 0.257 O
0.829 0.024 0.912 O
0.838 0.348 0.240 O
0.842 0.325 0.930 O
0.878 0.422 0.028 O
0.881 0.093 0.696 O
0.881 0.754 0.357 O
0.882 0.922 0.808 O
0.883 0.248 0.138 O
0.887 0.252 0.423 O
0.893 0.592 0.480 O
0.893 0.750 0.076 O
0.895 0.090 0.410 O
0.905 0.412 0.737 O
0.908 0.928 0.091 O
0.909 0.589 0.764 O
0.926 0.241 0.743 O
0.929 0.112 0.804 O
0.930 0.438 0.137 O
0.932 0.231 0.029 O
0.933 0.429 0.428 O
0.933 0.568 0.075 O
0.933 0.912 0.410 O
0.935 0.760 0.758 O
0.936 0.907 0.692 O
0.937 0.102 0.090 O
0.939 0.775 0.477 O
0.946 0.568 0.357 O
```

=====

2.
The following is a PBE calculation of a relaxed structure of Na6Y4Si5Ge4S7O48, from the Materials Project.

Calculated values
volume = 3158.0 Å³/cell
formation enthalpy at 0 K = -2.48 eV/atom
space-group type = P1 (1)
total magnetic moment = 0.00 μB per formula unit

```
Na6Y4Si5Ge4S7O48
1.0
8.919 0.000 0.000
0.008 15.448 0.000
0.021 0.093 22.920
Na Y Si Ge S O
18 12 15 12 21 144
direct
0.000 0.000 0.000 Na
0.002 0.687 0.672 Na
0.006 0.347 0.335 Na
0.013 0.000 0.516 Na
0.022 0.330 0.848 Na
0.031 0.670 0.166 Na
0.149 0.497 0.758 Na
0.167 0.167 0.437 Na
0.364 0.665 0.926 Na
0.382 0.998 0.261 Na
0.490 0.173 0.668 Na
0.504 0.824 0.351 Na
0.508 0.502 0.012 Na
0.511 0.832 0.827 Na
0.526 0.501 0.506 Na
0.539 0.192 0.165 Na
0.631 0.004 0.755 Na
0.887 0.504 0.257 Na
0.022 0.994 0.367 Y
0.023 0.669 0.814 Y
0.030 0.672 0.320 Y
0.494 0.174 0.819 Y
0.500 0.498 0.864 Y
0.516 0.172 0.319 Y
0.521 0.831 0.996 Y
0.526 0.821 0.181 Y
0.531 0.828 0.691 Y
0.992 0.333 0.188 Y
0.994 0.334 0.499 Y
0.996 0.325 0.682 Y
0.141 0.515 0.929 Si
0.157 0.170 0.588 Si
0.212 0.163 0.926 Si
0.218 0.500 0.255 Si
0.307 0.002 0.755 Si
0.312 0.664 0.425 Si
0.361 0.670 0.087 Si
0.373 0.640 0.751 Si
0.386 0.017 0.428 Si
0.636 0.371 0.256 Si
0.677 0.690 0.582 Si
0.681 0.336 0.589 Si
0.834 0.830 0.087 Si
0.847 0.190 0.084 Si
0.888 0.872 0.756 Si
0.019 0.662 0.521 Ge
0.024 0.662 0.030 Ge
0.025 0.324 0.987 Ge
0.038 0.006 0.661 Ge
0.042 0.003 0.855 Ge
0.483 0.503 0.356 Ge
0.485 0.503 0.158 Ge
0.495 0.824 0.489 Ge
0.496 0.160 0.534 Ge
0.510 0.163 0.018 Ge
0.530 0.517 0.644 Ge
0.993 0.008 0.139 Ge
0.150 0.140 0.252 S
0.154 0.820 0.925 S
0.157 0.860 0.248 S
0.167 0.495 0.589 S
0.211 0.831 0.584 S
0.312 0.330 0.085 S
0.355 0.995 0.093 S
0.364 0.357 0.749 S
0.366 0.322 0.425 S
0.644 0.643 0.259 S
0.662 0.983 0.584 S
0.664 0.022 0.922 S
0.669 0.310 0.929 S
0.724 0.668 0.926 S
0.727 0.001 0.250 S
0.798 0.500 0.751 S
0.807 0.170 0.426 S
0.854 0.809 0.428 S
0.857 0.521 0.422 S
0.859 0.484 0.085 S
0.879 0.143 0.759 S
0.066 0.418 0.943 O
0.071 0.075 0.600 O
0.080 0.907 0.919 O
0.083 0.545 0.865 O
0.085 0.774 0.249 O
0.088 0.207 0.527 O
0.088 0.227 0.248 O
0.091 0.582 0.583 O
0.092 0.780 0.979 O
0.100 0.101 0.308 O
0.103 0.455 0.643 O
0.103 0.594 0.977 O
0.103 0.909 0.197 O
0.104 0.075 0.916 O
0.104 0.248 0.937 O
0.105 0.583 0.255 O
0.110 0.085 0.200 O
0.113 0.907 0.588 O
0.116 0.752 0.574 O
0.117 0.413 0.253 O
0.124 0.907 0.303 O
0.130 0.766 0.873 O
0.134 0.234 0.642 O
0.134 0.440 0.538 O
0.179 0.656 0.081 O
0.188 0.008 0.098 O
0.189 0.638 0.746 O
0.191 0.647 0.480 O
0.197 0.350 0.749 O
0.200 0.015 0.429 O
0.200 0.332 0.429 O
0.206 0.019 0.697 O
0.208 0.996 0.816 O
0.213 0.346 0.033 O
0.223 0.316 0.138 O
0.225 0.688 0.366 O
0.300 0.187 0.867 O
0.301 0.817 0.636 O
0.309 0.847 0.530 O
0.317 0.495 0.316 O
0.318 0.143 0.252 O
0.319 0.515 0.197 O
0.319 0.831 0.930 O
0.324 0.853 0.247 O
0.325 0.510 0.932 O
0.330 0.507 0.592 O
0.333 0.147 0.982 O
0.340 0.154 0.582 O
0.379 0.939 0.042 O
0.383 0.732 0.143 O
0.390 0.267 0.372 O
0.399 0.401 0.805 O
0.409 0.918 0.753 O
0.410 0.252 0.076 O
0.410 0.408 0.090 O
0.417 0.087 0.755 O
0.417 0.955 0.147 O
0.418 0.403 0.698 O
0.418 0.600 0.815 O
0.418 0.750 0.436 O
0.419 0.575 0.416 O
0.424 0.097 0.475 O
0.426 0.576 0.695 O
0.427 0.081 0.085 O
0.428 0.281 0.477 O
0.433 0.708 0.028 O
0.434 0.270 0.749 O
0.441 0.048 0.363 O
0.441 0.408 0.418 O
0.444 0.735 0.749 O
0.450 0.575 0.099 O
0.456 0.919 0.442 O
0.559 0.275 0.257 O
0.574 0.422 0.602 O
0.578 0.731 0.257 O
0.583 0.741 0.531 O
0.584 0.245 0.574 O
0.584 0.419 0.193 O
0.585 0.603 0.314 O
0.588 0.938 0.928 O
0.593 0.264 0.979 O
0.593 0.954 0.640 O
0.596 0.593 0.588 O
0.600 0.075 0.576 O
0.602 0.397 0.929 O
0.606 0.431 0.316 O
0.610 0.064 0.868 O
0.613 0.593 0.205 O
0.617 0.744 0.925 O
0.621 0.926 0.535 O
0.626 0.925 0.247 O
0.627 0.078 0.975 O
0.628 0.080 0.249 O
0.628 0.588 0.927 O
0.644 0.265 0.874 O
0.666 0.170 0.069 O
0.675 0.742 0.642 O
0.691 0.819 0.435 O
0.693 0.513 0.421 O
0.695 0.492 0.090 O
0.706 0.867 0.754 O
0.708 0.501 0.696 O
0.709 0.489 0.804 O
0.713 0.166 0.477 O
0.714 0.149 0.762 O
0.723 0.177 0.370 O
0.729 0.859 0.033 O
0.742 0.809 0.146 O
0.781 0.309 0.645 O
0.783 0.363 0.533 O
0.810 0.649 0.262 O
0.810 0.674 0.871 O
0.817 0.668 0.979 O
0.817 0.996 0.303 O
0.818 0.363 0.254 O
0.821 0.007 0.195 O
0.825 0.991 0.588 O
0.828 0.015 0.922 O
0.833 0.317 0.936 O
0.852 0.239 0.145 O
0.858 0.671 0.567 O
0.880 0.766 0.372 O
0.888 0.580 0.752 O
0.897 0.425 0.037 O
0.897 0.576 0.474 O
0.905 0.091 0.424 O
0.906 0.425 0.749 O
0.910 0.093 0.705 O
0.911 0.246 0.425 O
0.913 0.562 0.367 O
0.917 0.933 0.816 O
0.922 0.574 0.076 O
0.923 0.898 0.428 O
0.927 0.455 0.141 O
0.930 0.763 0.477 O
0.931 0.092 0.091 O
0.931 0.435 0.426 O
0.935 0.742 0.075 O
0.939 0.104 0.814 O
0.940 0.242 0.033 O
0.942 0.920 0.693 O
0.944 0.231 0.756 O
0.945 0.918 0.097 O
0.964 0.778 0.758 O
```